A plane-wave DFT calculation with GGA-PBE was carried out for crystalline GaMo4Se8 at its relaxed geometry.

Results
theoretical density: 6.60 Mg/m³
total magnetization: 4.0 μB/cell
crystal system: cubic
calculated formation energy: -11.32 eV per formula unit

Unit cell a=10.2979 b=10.2979 c=10.2979 alpha=90.00 beta=90.00 gamma=90.00
With the nearest neighbours (Å) after each atom.
Space group F-43m (No. 216)
Inequivalent atoms, fractional coordinates:
Ga: 0.0000 0.0000 0.0000 x4  4 Se 2.45
Mo: 0.1000 0.1000 0.6000 x16  6 Se 2.48-2.76
Se: 0.1355 0.1355 0.3645 x16  3 Mo 2.48
Se: 0.1373 0.1373 0.8627 x16  1 Ga 2.45